{"formula": "SrSn3", "functional": "meta-GGA r2SCAN", "state": "relaxed", "lattice_angstrom": [[4.8452, 0.0000, 0.0000], [0.0000, 4.8452, 0.0000], [0.0000, 0.0000, 4.8452]], "species": ["Sr", "Sn", "Sn", "Sn"], "fractional_positions": [[0.0000, 0.0000, 0.0000], [0.0000, 0.5000, 0.5000], [0.5000, 0.0000, 0.5000], [0.5000, 0.5000, 0.0000]], "ef_kj_per_mol_atoms": -34.21, "energy_ha_per_atom": -0.8342, "space_group": "No. 221"}